# PBE with a Hubbard U Sr5V3ClO12, relaxed
# * energy of formation: -69.745 kcal/mol of atoms
# * M_tot: 0.00 μB/f.u.
data_Sr5V3ClO12
_chemical_formula_sum 'Sr10 V6 Cl2 O24'
_symmetry_space_group_name_H-M 'P 1'
_symmetry_Int_Tables_number 1
_cell_length_a 10.4505
_cell_length_b 10.4505
_cell_length_c 7.3151
_cell_angle_alpha 90.00
_cell_angle_beta 90.00
_cell_angle_gamma 120.00
loop_
_symmetry_equiv_pos_as_xyz
'x,y,z'
loop_
_atom_site_label
_atom_site_type_symbol
_atom_site_fract_x
_atom_site_fract_y
_atom_site_fract_z
Sr1 Sr 0.0078 0.7517 0.7500
Sr2 Sr 0.3333 0.6667 0.4974
Sr3 Sr 0.2561 0.0078 0.2500
Sr4 Sr 0.7439 0.9922 0.7500
Sr5 Sr 0.6667 0.3333 0.5026
Sr6 Sr 0.9922 0.2483 0.2500
Sr7 Sr 0.2483 0.2561 0.7500
Sr8 Sr 0.7517 0.7439 0.2500
Sr9 Sr 0.3333 0.6667 0.0026
Sr10 Sr 0.6667 0.3333 0.9974
O1 O 0.9066 0.6483 0.0617
O2 O 0.3335 0.4922 0.2500
O3 O 0.8413 0.3335 0.7500
O4 O 0.3517 0.2583 0.0617
O5 O 0.4703 0.8690 0.7500
O6 O 0.5297 0.1310 0.2500
O7 O 0.9066 0.6483 0.4383
O8 O 0.6483 0.7417 0.5617
O9 O 0.1310 0.6013 0.7500
O10 O 0.6483 0.7417 0.9383
O11 O 0.3987 0.5297 0.7500
O12 O 0.6013 0.4703 0.2500
O13 O 0.0934 0.3517 0.9383
O14 O 0.0934 0.3517 0.5617
O15 O 0.1587 0.6665 0.2500
O16 O 0.6665 0.5078 0.7500
O17 O 0.2583 0.9066 0.9383
O18 O 0.3517 0.2583 0.4383
O19 O 0.8690 0.3987 0.2500
O20 O 0.5078 0.8413 0.2500
O21 O 0.2583 0.9066 0.5617
O22 O 0.7417 0.0934 0.0617
O23 O 0.4922 0.1587 0.7500
O24 O 0.7417 0.0934 0.4383
V1 V 0.3749 0.9678 0.7500
V2 V 0.5929 0.6251 0.7500
V3 V 0.9678 0.5929 0.2500
V4 V 0.6251 0.0322 0.2500
V5 V 0.0322 0.4071 0.7500
V6 V 0.4071 0.3749 0.2500
Cl1 Cl 0.0000 0.0000 0.5000
Cl2 Cl 0.0000 0.0000 0.0000

***

# PBE with a Hubbard U Sr2VClO4, relaxed
# * energy of formation: -68.626 kcal/mol of atoms
# * M_tot: 0.00 μB/f.u.
data_Sr2VClO4
_chemical_formula_sum 'Sr8 V4 Cl4 O16'
_symmetry_space_group_name_H-M 'P 1'
_symmetry_Int_Tables_number 1
_cell_length_a 6.6521
_cell_length_b 7.5898
_cell_length_c 11.6467
_cell_angle_alpha 90.00
_cell_angle_beta 90.00
_cell_angle_gamma 90.00
loop_
_symmetry_equiv_pos_as_xyz
'x,y,z'
loop_
_atom_site_label
_atom_site_type_symbol
_atom_site_fract_x
_atom_site_fract_y
_atom_site_fract_z
Cl1 Cl 0.5071 0.6918 0.2500
Cl2 Cl 0.4929 0.3082 0.7500
Cl3 Cl 0.4929 0.1918 0.2500
Cl4 Cl 0.5071 0.8082 0.7500
Sr1 Sr 0.3757 0.7500 0.0000
Sr2 Sr 0.3757 0.7500 0.5000
Sr3 Sr 0.1377 0.4666 0.2500
Sr4 Sr 0.1377 0.0334 0.7500
Sr5 Sr 0.8623 0.9666 0.2500
Sr6 Sr 0.6243 0.2500 0.5000
Sr7 Sr 0.8623 0.5334 0.7500
Sr8 Sr 0.6243 0.2500 0.0000
O1 O 0.2852 0.0727 0.5296
O2 O 0.9717 0.2741 0.8803
O3 O 0.0283 0.7741 0.8803
O4 O 0.2852 0.0727 0.9704
O5 O 0.7148 0.5727 0.9704
O6 O 0.7148 0.5727 0.5296
O7 O 0.7148 0.9273 0.4704
O8 O 0.0283 0.7259 0.1197
O9 O 0.9717 0.2259 0.1197
O10 O 0.2852 0.4273 0.4704
O11 O 0.0283 0.7259 0.3803
O12 O 0.9717 0.2259 0.3803
O13 O 0.7148 0.9273 0.0296
O14 O 0.9717 0.2741 0.6197
O15 O 0.0283 0.7741 0.6197
O16 O 0.2852 0.4273 0.0296
V1 V 0.8721 0.7500 0.0000
V2 V 0.8721 0.7500 0.5000
V3 V 0.1279 0.2500 0.5000
V4 V 0.1279 0.2500 0.0000

***

# PBE with a Hubbard U Te3WCl4O, relaxed
# * energy of formation: -16.663 kcal/mol of atoms
# * M_tot: 1.00 μB/f.u.
data_Te3WCl4O
_chemical_formula_sum 'Te48 W16 Cl64 O16'
_symmetry_space_group_name_H-M 'P 1'
_symmetry_Int_Tables_number 1
_cell_length_a 9.4433
_cell_length_b 16.9668
_cell_length_c 28.0564
_cell_angle_alpha 90.00
_cell_angle_beta 100.58
_cell_angle_gamma 90.00
loop_
_symmetry_equiv_pos_as_xyz
'x,y,z'
loop_
_atom_site_label
_atom_site_type_symbol
_atom_site_fract_x
_atom_site_fract_y
_atom_site_fract_z
Cl1 Cl 0.6837 0.1118 0.0487
Cl2 Cl 0.8658 0.3916 0.6898
Cl3 Cl 0.3887 0.6102 0.9315
Cl4 Cl 0.4135 0.3872 0.4314
Cl5 Cl 0.6398 0.7168 0.2275
Cl6 Cl 0.2085 0.1146 0.7997
Cl7 Cl 0.5505 0.7189 0.3982
Cl8 Cl 0.1342 0.8916 0.8102
Cl9 Cl 0.6602 0.6079 0.0556
Cl10 Cl 0.7915 0.8854 0.2003
Cl11 Cl 0.3602 0.2168 0.2725
Cl12 Cl 0.5505 0.7811 0.8982
Cl13 Cl 0.5896 0.2790 0.9017
Cl14 Cl 0.1718 0.2718 0.4727
Cl15 Cl 0.1718 0.2282 0.9727
Cl16 Cl 0.4104 0.7790 0.5983
Cl17 Cl 0.6602 0.8921 0.5556
Cl18 Cl 0.8394 0.2218 0.5174
Cl19 Cl 0.6933 0.2318 0.7234
Cl20 Cl 0.8911 0.6078 0.1847
Cl21 Cl 0.0521 0.7218 0.6561
Cl22 Cl 0.3067 0.7682 0.2766
Cl23 Cl 0.4495 0.2189 0.1018
Cl24 Cl 0.3163 0.8882 0.9513
Cl25 Cl 0.3398 0.1079 0.4444
Cl26 Cl 0.7915 0.6146 0.7003
Cl27 Cl 0.3067 0.7318 0.7766
Cl28 Cl 0.6113 0.1102 0.5685
Cl29 Cl 0.5865 0.8872 0.0686
Cl30 Cl 0.8282 0.7718 0.0273
Cl31 Cl 0.0795 0.8910 0.3197
Cl32 Cl 0.1606 0.7218 0.9826
Cl33 Cl 0.4135 0.1128 0.9314
Cl34 Cl 0.3398 0.3921 0.9444
Cl35 Cl 0.0795 0.6090 0.8197
Cl36 Cl 0.3887 0.8898 0.4315
Cl37 Cl 0.4104 0.7210 0.0983
Cl38 Cl 0.6837 0.3882 0.5487
Cl39 Cl 0.8965 0.7665 0.8550
Cl40 Cl 0.1089 0.3922 0.8153
Cl41 Cl 0.6933 0.2682 0.2234
Cl42 Cl 0.9479 0.2782 0.3439
Cl43 Cl 0.3163 0.6118 0.4513
Cl44 Cl 0.1089 0.1078 0.3153
Cl45 Cl 0.8911 0.8922 0.6847
Cl46 Cl 0.8658 0.1084 0.1898
Cl47 Cl 0.9205 0.1090 0.6803
Cl48 Cl 0.1035 0.2335 0.1450
Cl49 Cl 0.4495 0.2811 0.6018
Cl50 Cl 0.8282 0.7282 0.5273
Cl51 Cl 0.1342 0.6084 0.3102
Cl52 Cl 0.0521 0.7782 0.1561
Cl53 Cl 0.2085 0.3854 0.2997
Cl54 Cl 0.5865 0.6128 0.5686
Cl55 Cl 0.6398 0.7832 0.7275
Cl56 Cl 0.5896 0.2210 0.4017
Cl57 Cl 0.9205 0.3910 0.1803
Cl58 Cl 0.1606 0.7782 0.4826
Cl59 Cl 0.8394 0.2782 0.0174
Cl60 Cl 0.6113 0.3898 0.0685
Cl61 Cl 0.1035 0.2665 0.6450
Cl62 Cl 0.8965 0.7335 0.3550
Cl63 Cl 0.9479 0.2218 0.8439
Cl64 Cl 0.3602 0.2832 0.7725
Te1 Te 0.8294 0.4999 0.3003
Te2 Te 0.4891 0.9774 0.6556
Te3 Te 0.2414 0.9259 0.6836
Te4 Te 0.1573 0.5931 0.5601
Te5 Te 0.1529 0.3891 0.0773
Te6 Te 0.9991 0.0037 0.1089
Te7 Te 0.8427 0.4069 0.4399
Te8 Te 0.7216 0.9463 0.9393
Te9 Te 0.5109 0.4774 0.8444
Te10 Te 0.5484 0.5496 0.3485
Te11 Te 0.2536 0.9781 0.5388
Te12 Te 0.0009 0.5037 0.3911
Te13 Te 0.1706 0.9999 0.1997
Te14 Te 0.2784 0.0537 0.0607
Te15 Te 0.7464 0.0219 0.4612
Te16 Te 0.9368 0.0779 0.4064
Te17 Te 0.2414 0.5741 0.1836
Te18 Te 0.6162 0.0981 0.8198
Te19 Te 0.8427 0.0931 0.9399
Te20 Te 0.5484 0.9504 0.8485
Te21 Te 0.7587 0.0741 0.3164
Te22 Te 0.9991 0.4963 0.6089
Te23 Te 0.4516 0.4504 0.6515
Te24 Te 0.3267 0.3925 0.1679
Te25 Te 0.3838 0.5981 0.6802
Te26 Te 0.6162 0.4019 0.3198
Te27 Te 0.4516 0.0496 0.1515
Te28 Te 0.7464 0.4781 0.9612
Te29 Te 0.1529 0.1109 0.5773
Te30 Te 0.8471 0.6109 0.9227
Te31 Te 0.1573 0.9069 0.0601
Te32 Te 0.6733 0.6075 0.8321
Te33 Te 0.0632 0.5779 0.0936
Te34 Te 0.7216 0.5537 0.4393
Te35 Te 0.0009 0.9963 0.8911
Te36 Te 0.1706 0.5001 0.6997
Te37 Te 0.4891 0.5226 0.1556
Te38 Te 0.3267 0.1075 0.6679
Te39 Te 0.7587 0.4259 0.8164
Te40 Te 0.8471 0.8891 0.4227
Te41 Te 0.0632 0.9221 0.5936
Te42 Te 0.9368 0.4221 0.9064
Te43 Te 0.2536 0.5219 0.0388
Te44 Te 0.6733 0.8925 0.3321
Te45 Te 0.2784 0.4463 0.5607
Te46 Te 0.8294 0.0001 0.8003
Te47 Te 0.5109 0.0226 0.3444
Te48 Te 0.3838 0.9019 0.1802
O1 O 0.9712 0.7479 0.2541
O2 O 0.2686 0.2465 0.3730
O3 O 0.7751 0.2513 0.6219
O4 O 0.0288 0.2479 0.2459
O5 O 0.2249 0.7487 0.3781
O6 O 0.0288 0.2521 0.7459
O7 O 0.5079 0.2522 0.0007
O8 O 0.7314 0.7465 0.1270
O9 O 0.2686 0.2535 0.8730
O10 O 0.5079 0.2478 0.5007
O11 O 0.4921 0.7522 0.4993
O12 O 0.7314 0.7535 0.6270
O13 O 0.4921 0.7478 0.9993
O14 O 0.2249 0.7513 0.8781
O15 O 0.7751 0.2487 0.1219
O16 O 0.9712 0.7521 0.7541
W1 W 0.1578 0.2508 0.8094
W2 W 0.8422 0.7492 0.1906
W3 W 0.3513 0.7494 0.9398
W4 W 0.1014 0.7479 0.8142
W5 W 0.8422 0.7508 0.6906
W6 W 0.3830 0.2523 0.9385
W7 W 0.1578 0.2492 0.3094
W8 W 0.3513 0.7506 0.4398
W9 W 0.6170 0.7477 0.0615
W10 W 0.1014 0.7521 0.3142
W11 W 0.6487 0.2494 0.5602
W12 W 0.6487 0.2506 0.0602
W13 W 0.8986 0.2479 0.6858
W14 W 0.6170 0.7523 0.5615
W15 W 0.3830 0.2477 0.4385
W16 W 0.8986 0.2521 0.1858